Record 1
First-principles (PBE) data for a geometry-optimized Nd2Al3Ge4 structure, as listed in the Materials Project.

POSCAR file:
```
Nd2Al3Ge4
1.0
2.962 -7.606 0.000
2.962 7.606 0.000
0.000 0.000 8.186
Nd Al Ge
4 6 8
Cartesian
2.962 5.857 7.533
2.962 1.749 3.440
2.962 -1.749 4.746
2.962 -5.857 0.653
0.000 0.000 4.093
1.481 3.316 6.139
1.481 -3.316 2.046
2.962 0.000 0.000
4.443 3.316 6.139
4.443 -3.316 2.046
2.962 4.790 4.520
1.481 0.741 6.139
1.481 -0.741 2.046
2.962 2.815 0.427
2.962 -2.815 7.759
4.443 0.741 6.139
4.443 -0.741 2.046
2.962 -4.790 3.666
```

- ΔH_f (0 K) (eV/atom) = -0.461


Record 2
First-principles (PBE) data for a geometry-optimized NdAlGe structure, as listed in the Materials Project.

POSCAR file:
```
NdAlGe
1.0
-2.137 2.137 7.377
2.137 -2.137 7.377
2.137 2.137 -7.377
Nd Al Ge
2 2 2
Cartesian
0.000 0.000 0.000
0.000 2.137 3.688
2.137 0.000 4.933
0.000 0.000 8.621
2.137 0.000 2.479
0.000 0.000 6.168
```

- ΔH_f (0 K) (eV/atom) = -0.685


Record 3
First-principles (PBE) data for a geometry-optimized Nd2AlGe6 structure, as listed in the Materials Project.

POSCAR file:
```
Nd2AlGe6
1.0
4.205 -4.388 0.000
4.205 4.388 0.000
-2.145 0.000 10.497
Nd Al Ge
4 2 12
Cartesian
2.061 2.210 6.952
4.204 2.210 3.545
2.061 -2.210 6.952
4.204 -2.210 3.545
-0.040 0.000 8.445
6.305 0.000 2.052
2.101 1.874 1.210
0.335 0.000 1.207
0.027 0.000 5.910
2.136 0.000 4.386
3.864 0.000 1.209
2.101 -1.874 1.210
4.164 1.874 9.288
2.401 0.000 9.288
4.129 0.000 6.111
6.238 0.000 4.587
5.930 0.000 9.291
4.164 -1.874 9.288
```

- ΔH_f (0 K) (eV/atom) = -0.451


Record 4
First-principles (PBE) data for a geometry-optimized NdAlGe2O7 structure, as listed in the Materials Project.

POSCAR file:
```
NdAlGe2O7
1.0
7.329 0.000 0.000
0.000 6.596 0.000
-5.997 0.000 11.407
Nd Al Ge O
4 4 8 28
Cartesian
-1.091 0.975 5.397
-4.090 2.323 11.100
5.422 4.273 0.307
2.423 5.621 6.010
-2.809 0.669 8.321
0.189 2.630 2.617
1.142 3.967 8.789
4.141 5.928 3.086
-1.160 4.341 5.135
-4.158 5.554 10.839
-2.096 3.887 8.208
0.903 6.008 2.505
0.429 0.589 8.902
3.428 2.709 3.199
5.490 1.043 0.568
2.492 2.256 6.271
-5.440 4.349 10.435
-2.441 5.545 4.732
0.050 4.505 2.137
-2.949 5.389 7.840
-3.681 0.340 9.863
-0.682 2.958 4.160
-0.015 0.772 3.155
-3.013 2.526 8.858
-1.611 3.308 6.534
1.388 6.586 0.831
-2.870 4.445 11.129
0.129 5.449 5.425
-1.048 0.792 7.945
1.950 2.507 2.242
-0.618 4.090 9.165
2.380 5.805 3.461
1.203 1.147 5.981
4.202 2.151 0.278
-0.056 0.010 10.576
2.943 3.288 4.872
4.345 4.070 2.549
1.346 5.824 8.252
2.014 3.638 7.247
5.012 6.256 1.544
4.281 1.207 3.567
1.282 2.091 9.270
3.773 1.051 6.675
6.772 2.247 0.971
```

- E (MP2020) (eV/atom) = -7.62
- ΔH_f (0 K) (eV/atom) = -2.860


Record 5
First-principles (PBE) data for a geometry-optimized Al4Ni15Ge structure, as listed in the Materials Project.

POSCAR file:
```
Al4Ni15Ge
1.0
3.561 0.000 0.000
0.000 3.561 0.000
0.000 0.000 17.804
Al Ni Ge
4 15 1
Cartesian
0.000 0.000 1.783
0.000 0.000 5.338
0.000 0.000 12.466
0.000 0.000 16.020
0.000 1.781 0.000
0.000 1.781 3.559
0.000 1.781 7.119
0.000 1.781 10.684
0.000 1.781 14.244
1.781 0.000 0.000
1.781 0.000 3.559
1.781 0.000 7.119
1.781 0.000 10.684
1.781 0.000 14.244
1.781 1.781 1.781
1.781 1.781 5.343
1.781 1.781 8.902
1.781 1.781 12.460
1.781 1.781 16.022
0.000 0.000 8.902
```

- ΔH_f (0 K) (eV/atom) = -0.402


Record 6
First-principles (PBE) data for a geometry-optimized AlNi4Ge structure, as listed in the Materials Project.

POSCAR file:
```
AlNi4Ge
1.0
3.828 0.000 0.000
0.000 7.340 0.000
0.000 0.000 5.019
Al Ni Ge
2 8 2
Cartesian
0.000 1.029 0.000
0.000 6.311 2.510
0.000 1.383 2.631
0.000 3.427 0.682
0.000 3.914 3.192
0.000 5.957 0.121
1.914 0.171 1.275
1.914 2.346 4.259
1.914 4.994 1.749
1.914 7.169 3.784
1.914 2.569 1.866
1.914 4.772 4.375
```

- ΔH_f (0 K) (eV/atom) = -0.420


Record 7
First-principles (PBE) data for a geometry-optimized AlGePS2O12 structure, as listed in the Materials Project.

POSCAR file:
```
AlGePS2O12
1.0
7.193 -4.141 0.000
7.193 4.141 0.000
-0.091 0.000 21.542
Al Ge P S O
6 6 6 12 72
Cartesian
7.147 4.137 10.771
4.679 0.015 7.183
4.633 -0.015 17.954
9.593 0.071 14.355
9.639 -0.071 3.584
7.193 -4.137 0.000
7.140 -4.134 15.278
7.185 4.134 4.507
4.759 0.111 0.915
4.714 -0.111 11.687
9.505 0.008 18.863
9.551 -0.008 8.092
2.604 1.198 20.189
2.649 -1.198 9.418
9.527 2.390 16.614
12.274 1.161 13.019
9.572 -2.390 5.843
12.320 -1.161 2.248
4.776 2.379 9.446
7.141 1.728 13.016
9.272 2.915 2.259
6.784 1.202 20.193
7.477 1.176 5.834
4.730 -2.379 20.217
6.830 -1.202 9.422
7.432 -1.176 16.605
11.649 1.212 5.843
7.186 -1.728 2.245
11.604 -1.212 16.614
9.226 -2.915 13.030
1.250 0.574 20.460
5.953 3.223 9.631
6.017 3.128 3.537
1.498 0.539 14.252
3.499 1.056 21.469
4.482 1.575 10.680
4.569 1.496 16.813
3.605 0.899 6.063
1.296 -0.574 9.689
5.032 1.560 8.264
3.384 0.615 12.883
3.275 0.560 18.996
6.916 2.641 20.394
1.543 -0.539 3.481
6.840 2.530 14.248
5.005 1.435 2.118
8.262 3.282 16.429
7.357 2.657 5.712
7.403 2.567 11.845
8.439 3.135 1.076
3.321 -0.560 8.225
5.958 0.975 19.012
5.916 0.901 12.851
3.429 -0.615 2.112
3.559 -0.899 16.834
6.173 0.566 6.057
3.544 -1.056 10.698
6.253 0.523 21.429
8.328 1.058 7.071
9.212 1.535 17.899
9.383 1.482 2.478
8.309 0.884 13.219
8.098 0.582 4.654
6.127 -0.566 16.828
9.752 1.507 15.408
8.129 0.577 20.075
4.615 -1.496 6.042
6.298 -0.523 10.658
4.436 -1.575 21.451
9.724 1.402 9.237
4.960 -1.435 12.889
5.962 -0.901 2.080
6.004 -0.975 8.241
4.987 -1.560 19.035
10.802 1.023 4.668
8.053 -0.582 15.425
10.711 0.912 20.072
8.174 -0.577 9.304
8.354 -0.884 2.448
10.915 0.547 13.236
11.104 0.545 7.071
8.282 -1.058 17.842
6.886 -2.530 3.477
5.972 -3.128 14.308
5.907 -3.223 20.402
6.961 -2.641 9.623
7.448 -2.567 1.074
10.960 -0.547 2.465
9.258 -1.535 7.128
9.337 -1.482 13.249
7.312 -2.657 16.483
12.986 0.577 5.703
12.939 0.541 11.801
11.059 -0.545 17.842
9.678 -1.402 20.008
10.756 -0.912 9.301
9.798 -1.507 4.637
10.756 -1.023 15.439
8.394 -3.135 11.847
12.984 -0.541 1.030
12.941 -0.577 16.474
8.307 -3.282 5.658
```

- E (MP2020) (eV/atom) = -7.03
- ΔH_f (0 K) (eV/atom) = -2.244


Record 8
First-principles (PBE) data for a geometry-optimized PrAlGe2O7 structure, as listed in the Materials Project.

POSCAR file:
```
PrAlGe2O7
1.0
7.340 0.000 0.000
0.000 6.609 0.000
-5.974 0.000 11.471
Pr Al Ge O
4 4 8 28
Cartesian
-1.088 0.976 5.439
-4.075 2.329 11.174
5.440 4.281 0.297
2.453 5.633 6.033
-2.799 0.678 8.376
0.188 2.626 2.641
1.177 3.983 8.830
4.165 5.931 3.095
-1.155 4.346 5.171
-4.142 5.568 10.907
-2.075 3.899 8.255
0.912 6.014 2.519
0.453 0.595 8.952
3.440 2.710 3.216
5.507 1.041 0.565
2.520 2.264 6.300
-5.425 4.369 10.484
-2.438 5.544 4.748
0.062 4.506 2.148
-2.925 5.408 7.884
-3.671 0.336 9.917
-0.684 2.969 4.181
-0.007 0.763 3.181
-2.994 2.541 8.916
-1.612 3.317 6.574
1.375 6.597 0.838
-2.847 4.472 11.205
0.140 5.442 5.469
-1.036 0.828 8.017
1.951 2.476 2.282
-0.586 4.133 9.190
2.401 5.781 3.454
1.225 1.167 6.002
4.213 2.137 0.267
-0.010 0.012 10.633
2.977 3.292 4.898
4.360 4.068 2.555
1.372 5.846 8.291
2.049 3.640 7.290
5.036 6.273 1.554
4.291 1.201 3.588
1.303 2.103 9.323
3.803 1.065 6.723
6.790 2.240 0.987
```

- E (MP2020) (eV/atom) = -7.62
- ΔH_f (0 K) (eV/atom) = -2.854


Record 9
First-principles (PBE) data for a geometry-optimized Al2SiGe2S5O24 structure, as listed in the Materials Project.

POSCAR file:
```
Al2SiGe2S5O24
1.0
8.313 0.000 0.000
4.152 7.223 0.000
0.215 -0.043 21.619
Al Si Ge S O
6 3 6 15 72
Cartesian
0.000 0.000 0.000
0.143 0.032 10.759
4.179 2.416 0.928
8.295 4.771 3.630
8.480 4.862 14.458
8.558 4.829 18.911
1.859 2.381 9.461
7.137 2.731 5.830
9.663 6.845 16.681
4.213 2.409 11.682
4.223 2.367 7.200
4.365 2.326 17.995
8.429 4.634 8.140
8.417 -0.028 15.363
8.351 0.050 4.556
1.239 2.098 2.233
3.094 5.119 13.046
3.162 4.444 20.301
5.384 5.152 2.250
6.681 7.175 13.076
5.449 4.507 9.491
3.154 0.276 20.320
6.103 4.792 16.684
7.189 6.859 5.853
6.789 2.387 20.304
5.468 0.276 9.478
7.236 2.100 13.058
10.072 7.210 2.248
9.677 2.720 16.680
10.767 4.815 5.827
3.777 5.767 20.486
0.977 1.094 9.691
3.770 5.672 14.265
1.118 1.224 3.450
2.777 2.726 10.779
3.403 3.584 21.476
2.835 2.625 16.854
3.280 3.613 5.983
4.798 5.781 9.717
3.827 3.885 19.063
1.702 0.157 20.516
2.691 2.217 2.040
4.720 5.712 3.489
1.719 0.264 14.319
3.763 3.785 12.944
2.794 2.114 8.145
5.281 6.014 16.511
5.714 6.975 5.693
5.144 6.013 1.076
5.823 6.955 11.914
3.274 1.151 19.107
4.810 3.939 8.292
4.769 3.828 2.068
3.397 1.158 12.952
5.205 3.620 16.854
3.637 0.977 5.972
3.817 0.895 21.483
5.369 3.619 10.705
7.368 6.067 7.093
6.898 5.005 17.898
6.833 5.062 2.408
7.491 5.972 13.238
5.549 2.567 6.106
4.878 1.122 16.876
6.903 4.690 9.338
6.878 4.498 15.473
7.896 6.175 20.133
7.812 6.299 4.650
5.941 2.635 21.489
4.826 0.849 10.714
5.750 2.224 12.889
5.088 1.184 2.050
5.958 2.092 19.097
5.335 1.144 8.286
7.359 3.644 4.553
8.988 6.241 15.366
8.942 6.212 9.284
7.610 3.581 20.084
7.850 3.410 13.280
9.251 6.017 2.466
9.486 5.959 18.000
7.856 3.323 7.164
7.396 1.250 14.278
6.751 0.282 3.458
7.620 1.190 20.505
6.894 0.126 9.700
7.847 1.476 11.885
10.921 6.961 1.065
8.960 3.420 2.423
10.004 5.154 7.062
9.039 3.251 17.893
9.968 4.948 13.227
7.813 1.257 5.671
11.280 7.039 16.491
9.322 3.753 9.343
10.025 4.531 20.141
9.940 4.602 4.642
9.464 3.516 15.467
8.889 1.479 1.072
11.620 5.971 11.875
11.652 5.996 5.675
9.117 1.356 16.512
```

- E (MP2020) (eV/atom) = -6.90
- ΔH_f (0 K) (eV/atom) = -2.149